Record 1
! GGA-PBE V2C, relaxed; values from VASP
! symmetry	P-3m1
! formation energy	-453	meV per atom
&SYSTEM
  ibrav = 0, nat = 3, ntyp = 2
/
ATOMIC_SPECIES
V 50.94 V.upf
C 12.01 C.upf
CELL_PARAMETERS angstrom
2.893 0.000 0.000
-1.447 2.505 0.000
0.000 0.000 4.532
ATOMIC_POSITIONS crystal
V 0.333 0.667 0.253
V 0.667 0.333 0.747
C 0.000 0.000 0.000

Record 2
! GGA-PBE V6C5, relaxed; values from VASP
! symmetry	P3_112
! formation energy	-543	meV per atom
&SYSTEM
  ibrav = 0, nat = 33, ntyp = 2
/
ATOMIC_SPECIES
V 50.94 V.upf
C 12.01 C.upf
CELL_PARAMETERS angstrom
5.105 0.000 0.000
-2.553 4.421 0.000
0.000 0.000 14.367
ATOMIC_POSITIONS crystal
V 0.084 0.196 0.419
V 0.084 0.888 0.581
V 0.087 0.531 0.757
V 0.087 0.556 0.243
V 0.112 0.196 0.915
V 0.112 0.916 0.085
V 0.444 0.195 0.249
V 0.444 0.249 0.751
V 0.444 0.531 0.576
V 0.444 0.913 0.424
V 0.469 0.556 0.090
V 0.469 0.913 0.910
V 0.751 0.195 0.085
V 0.751 0.556 0.915
V 0.804 0.888 0.752
V 0.804 0.916 0.248
V 0.805 0.249 0.582
V 0.805 0.556 0.418
C 0.112 0.225 0.667
C 0.112 0.888 0.333
C 0.114 0.228 0.167
C 0.114 0.886 0.833
C 0.118 0.559 0.500
C 0.441 0.559 0.833
C 0.441 0.882 0.167
C 0.442 0.221 0.000
C 0.445 0.222 0.500
C 0.772 0.886 0.500
C 0.775 0.888 0.000
C 0.778 0.222 0.833
C 0.778 0.555 0.167
C 0.779 0.221 0.333
C 0.779 0.558 0.667